(1)
Crystalline Sr2TaInO6 at its relaxed geometry. Source: the Materials Project, functional PBE.

Summary:
Final energy = -7.447 eV/atom

Cell: 5.8290 5.8290 5.8290 Å, 120.81 120.81 88.60°
Fractional positions:
Sr 0.7500 0.2500 0.5000
O 0.2600 0.2600 0.0000
Ta 0.5000 0.5000 0.0000
O 0.2030 0.3193 0.5223
In 0.0000 0.0000 0.0000
O 0.7400 0.7400 0.0000
O 0.7970 0.6807 0.4777
O 0.3193 0.7970 0.1163
O 0.6807 0.2030 0.8837
Sr 0.2500 0.7500 0.5000

---

(2)
Crystalline Ho2N3 at its relaxed geometry. Source: the Materials Project, functional PBE.

Summary:
Final energy = -7.342 eV/atom

Cell: 9.4496 9.4496 9.4496 Å, 109.47 109.47 109.47°
Fractional positions:
N 0.5368 0.5093 0.7694
N 0.0274 0.0368 0.2673
N 0.2601 0.9907 0.5274
N 0.9632 0.7327 0.9726
Ho 0.2500 0.5302 0.2802
N 0.2673 0.0274 0.0368
Ho 0.5000 0.0000 0.5000
N 0.4726 0.7399 0.0093
Ho 0.5302 0.2802 0.2500
N 0.7601 0.2327 0.2694
N 0.7327 0.9726 0.9632
N 0.2399 0.7673 0.7306
N 0.2306 0.4632 0.4907
Ho 0.9698 0.2198 0.7500
Ho 0.0302 0.7802 0.2500
Ho 0.2500 0.0302 0.7802
N 0.5093 0.7694 0.5368
Ho 0.2802 0.2500 0.5302
N 0.2327 0.2694 0.7601
Ho 0.0000 0.5000 0.5000
Ho 0.2198 0.7500 0.9698
N 0.0093 0.4726 0.7399
Ho 0.4698 0.7198 0.7500
N 0.5274 0.2601 0.9907
Ho 0.0000 0.0000 0.0000
N 0.7306 0.2399 0.7673
Ho 0.7802 0.2500 0.0302
N 0.7673 0.7306 0.2399
N 0.9907 0.5274 0.2601
N 0.0368 0.2673 0.0274
Ho 0.5000 0.5000 0.0000
N 0.7694 0.5368 0.5093
N 0.4907 0.2306 0.4632
Ho 0.7500 0.9698 0.2198
N 0.2694 0.7601 0.2327
N 0.7399 0.0093 0.4726
Ho 0.7198 0.7500 0.4698
Ho 0.7500 0.4698 0.7198
N 0.4632 0.4907 0.2306
N 0.9726 0.9632 0.7327

---

(3)
Crystalline Ta4GaTe6Se2 at its relaxed geometry. Source: the Materials Project, functional PBE.

Summary:
Final energy = -6.337 eV/atom

Cell: 7.8553 7.8553 7.8553 Å, 120.51 119.09 90.35°
Fractional positions:
Se 0.8932 0.6316 0.2616
Te 0.8597 0.1383 0.7214
Te 0.3568 0.0862 0.7294
Te 0.8645 0.5934 0.7289
Te 0.3568 0.6274 0.2706
Ta 0.5984 0.7860 0.1876
Te 0.8645 0.1356 0.2711
Te 0.4169 0.1383 0.2786
Ta 0.6143 0.4063 0.2080
Ta 0.1982 0.4063 0.7920
Se 0.3700 0.6316 0.7384
Ga 0.0082 0.0082 0.0000
Ta 0.5984 0.4108 0.8124

---

(4)
Crystalline Bi15PO25 at its relaxed geometry. Source: the Materials Project, functional PBE.

Summary:
Final energy = -5.904 eV/atom

Cell: 17.1531 17.1531 17.1531 Å, 50.47 50.47 50.47°
Fractional positions:
O 0.6947 0.8686 0.8715
Bi 0.9174 0.5691 0.7181
Bi 0.0228 0.7224 0.2001
O 0.7394 0.3822 0.1264
Bi 0.6792 0.5148 0.8157
Bi 0.5051 0.0131 0.8126
Bi 0.3176 0.9765 0.1123
Bi 0.7192 0.3737 0.5185
Bi 0.1734 0.3211 0.5160
O 0.3204 0.9499 0.5802
O 0.8715 0.6947 0.8686
Bi 0.3534 0.6962 0.2010
Bi 0.3088 0.8168 0.6126
O 0.0745 0.0745 0.0745
Bi 0.7508 0.0948 0.5998
O 0.0398 0.4435 0.0371
O 0.4528 0.8285 0.0746
O 0.8285 0.0746 0.4528
Bi 0.9154 0.4097 0.2080
Bi 0.3737 0.5185 0.7192
O 0.1264 0.7394 0.3822
P 0.6000 0.6000 0.6000
O 0.8527 0.2295 0.4759
O 0.3822 0.1264 0.7394
O 0.6504 0.0310 0.2752
O 0.4380 0.8420 0.4394
O 0.0310 0.2752 0.6504
O 0.9516 0.3231 0.0742
O 0.1083 0.8381 0.1080
O 0.4435 0.0371 0.0398
O 0.9499 0.5802 0.3204
Bi 0.0131 0.8126 0.5051
O 0.4946 0.6697 0.6705
P 0.7995 0.7995 0.7995
Bi 0.3935 0.5563 0.8976
Bi 0.5998 0.7508 0.0948
O 0.6453 0.2689 0.5306
Bi 0.2080 0.9154 0.4097
O 0.1648 0.1648 0.1648
O 0.4759 0.8527 0.2295
O 0.5452 0.1812 0.9218
Bi 0.0988 0.7904 0.9219
Bi 0.4097 0.2080 0.9154
O 0.8504 0.8501 0.2244
O 0.2812 0.2812 0.2812
O 0.0577 0.4276 0.6716
O 0.6270 0.8758 0.2504
O 0.4717 0.3582 0.7177
O 0.4455 0.0705 0.3305
Bi 0.5148 0.8157 0.6792
Bi 0.9219 0.0988 0.7904
O 0.8420 0.4394 0.4380
Bi 0.8168 0.6126 0.3088
O 0.5649 0.5649 0.5649
O 0.2951 0.4702 0.4705
O 0.8740 0.7557 0.1165
Bi 0.1125 0.6072 0.4127
O 0.3231 0.0742 0.9516
O 0.2718 0.2684 0.0946
O 0.0742 0.9516 0.3231
O 0.4276 0.6716 0.0577
Bi 0.7181 0.9174 0.5691
O 0.7216 0.3454 0.9845
O 0.9845 0.7216 0.3454
Bi 0.0766 0.9078 0.2073
O 0.6373 0.0419 0.6385
Bi 0.0948 0.5998 0.7508
Bi 0.4127 0.1125 0.6072
O 0.5179 0.2739 0.1602
Bi 0.9696 0.2794 0.8019
O 0.2439 0.6343 0.2438
Bi 0.7224 0.2001 0.0228
Bi 0.2729 0.1176 0.4209
O 0.1300 0.2484 0.8675
Bi 0.7177 0.0175 0.8708
Bi 0.9942 0.1547 0.5038
O 0.2689 0.5306 0.6453
O 0.3582 0.7177 0.4717
O 0.6808 0.6808 0.6808
Bi 0.9765 0.1123 0.3176
O 0.6385 0.6373 0.0419
O 0.9198 0.6715 0.5566
O 0.0746 0.4528 0.8285
O 0.1602 0.5179 0.2739
Bi 0.2010 0.3534 0.6962
Bi 0.2073 0.0766 0.9078
O 0.7648 0.7648 0.7648
Bi 0.3211 0.5160 0.1734
O 0.0427 0.6728 0.9284
Bi 0.5563 0.8976 0.3935
O 0.6343 0.2438 0.2439
O 0.0371 0.0398 0.4435
O 0.2484 0.8675 0.1300
O 0.3652 0.3652 0.3652
Bi 0.2794 0.8019 0.9696
Bi 0.8708 0.7177 0.0175
Bi 0.0175 0.8708 0.7177
O 0.3454 0.9845 0.7216
O 0.6716 0.0577 0.4276
O 0.1080 0.1083 0.8381
Bi 0.1123 0.3176 0.9765
P 0.2001 0.2001 0.2001
O 0.8501 0.2244 0.8504
O 0.5566 0.9198 0.6715
O 0.0946 0.2718 0.2684
Bi 0.8157 0.6792 0.5148
O 0.8686 0.8715 0.6947
Bi 0.6072 0.4127 0.1125
Bi 0.2001 0.0228 0.7224
Bi 0.6962 0.2010 0.3534
O 0.4804 0.4804 0.4804
Bi 0.6126 0.3088 0.8168
O 0.6728 0.9284 0.0427
O 0.7177 0.4717 0.3582
O 0.8498 0.4705 0.7298
O 0.8758 0.2504 0.6270
O 0.4394 0.4380 0.8420
O 0.1165 0.8740 0.7557
O 0.2504 0.6270 0.8758
Bi 0.1176 0.4209 0.2729
O 0.8675 0.1300 0.2484
Bi 0.4727 0.3183 0.6185
Bi 0.7904 0.9219 0.0988
O 0.5802 0.3204 0.9499
O 0.1439 0.7830 0.5216
O 0.5306 0.6453 0.2689
O 0.3305 0.4455 0.0705
O 0.7830 0.5216 0.1439
O 0.2684 0.0946 0.2718
Bi 0.9078 0.2073 0.0766
O 0.0705 0.3305 0.4455
Bi 0.5691 0.7181 0.9174
O 0.9460 0.9460 0.9460
O 0.5216 0.1439 0.7830
O 0.0419 0.6385 0.6373
O 0.2295 0.4759 0.8527
O 0.2752 0.6504 0.0310
Bi 0.8019 0.9696 0.2794
O 0.2739 0.1602 0.5179
O 0.1812 0.9218 0.5452
Bi 0.1547 0.5038 0.9942
O 0.4705 0.2951 0.4702
O 0.8782 0.8782 0.8782
O 0.8381 0.1080 0.1083
Bi 0.8976 0.3935 0.5563
O 0.6715 0.5566 0.9198
O 0.4702 0.4705 0.2951
Bi 0.5038 0.9942 0.1547
O 0.9284 0.0427 0.6728
O 0.7557 0.1165 0.8740
O 0.6697 0.6705 0.4946
Bi 0.5185 0.7192 0.3737
Bi 0.5160 0.1734 0.3211
O 0.2244 0.8504 0.8501
Bi 0.6185 0.4727 0.3183
O 0.9218 0.5452 0.1812
P 0.4002 0.4002 0.4002
O 0.6705 0.4946 0.6697
O 0.4705 0.7298 0.8498
O 0.7298 0.8498 0.4705
Bi 0.8126 0.5051 0.0131
O 0.2438 0.2439 0.6343
Bi 0.3183 0.6185 0.4727
Bi 0.4209 0.2729 0.1176

---

(5)
Crystalline KNaSb at its relaxed geometry. Source: the Materials Project, functional PBE.

Summary:
Final energy = -2.318 eV/atom

Cell: 5.4119 5.4119 5.4119 Å, 60.00 60.00 60.00°
Fractional positions:
K 0.5000 0.5000 0.5000
Sb 0.0000 0.0000 0.0000
Na 0.2500 0.2500 0.2500

---

(6)
Crystalline MnInCu4 at its relaxed geometry. Source: the Materials Project, functional PBE.

Summary:
Final energy = -4.670 eV/atom

Cell: 4.9689 4.9753 7.8968 Å, 90.00 90.00 119.96°
Fractional positions:
Cu 0.8303 0.6605 0.2503
Cu 0.6603 0.8300 0.7506
Cu 0.1697 0.3395 0.7503
In 0.6668 0.3336 0.9375
Mn 0.6660 0.3319 0.5642
Cu 0.3397 0.1700 0.2506
In 0.3332 0.6664 0.4375
Cu 0.0001 0.0002 0.0007
Cu 0.1697 0.8300 0.7506
Cu 0.8303 0.1700 0.2506
Cu 0.9999 0.9998 0.5007
Mn 0.3340 0.6681 0.0642

---

(7)
Crystalline Y2Si4CN6 at its relaxed geometry. Source: the Materials Project, functional PBE.

Summary:
Final energy = -8.423 eV/atom

Cell: 9.9996 5.9607 11.9565 Å, 60.38 90.00 90.00°
Fractional positions:
N 0.0538 0.2975 0.1370
N 0.0365 0.7584 0.2220
N 0.4635 0.7584 0.7220
Si 0.2727 0.3225 0.6589
N 0.2374 0.4816 0.7452
N 0.9552 0.0602 0.6011
N 0.7374 0.5184 0.7548
N 0.2146 0.9617 0.0095
N 0.7890 0.5039 0.4989
N 0.2854 0.9617 0.5095
Y 0.9129 0.6558 0.0819
Si 0.5201 0.0040 0.7501
C 0.7081 0.0233 0.7471
Y 0.5871 0.6558 0.5819
N 0.7626 0.5184 0.2548
Si 0.2875 0.8361 0.9205
N 0.2626 0.4816 0.2452
Si 0.9799 0.0040 0.2501
Si 0.7939 0.2006 0.8239
Si 0.7727 0.6775 0.8411
N 0.7110 0.5039 0.9989
Si 0.7875 0.1639 0.5795
Y 0.0871 0.3442 0.9181
N 0.2890 0.4961 0.0011
Si 0.0201 0.9960 0.7499
Si 0.7125 0.1639 0.0795
N 0.4462 0.2975 0.6370
N 0.5365 0.2416 0.2780
Y 0.4326 0.3292 0.9057
N 0.0448 0.9398 0.3989
Si 0.7061 0.2006 0.3239
Si 0.2125 0.8361 0.4205
C 0.2081 0.9767 0.7529
C 0.2919 0.9767 0.2529
N 0.5538 0.7025 0.3630
N 0.5448 0.0602 0.1011
Y 0.5674 0.6708 0.0943
N 0.2110 0.4961 0.5011
N 0.9462 0.7025 0.8630
N 0.7146 0.0383 0.4905
Y 0.0674 0.3292 0.4057
C 0.7919 0.0233 0.2471
Si 0.7273 0.6775 0.3411
Si 0.2939 0.7994 0.6761
Si 0.2061 0.7994 0.1761
Y 0.4129 0.3442 0.4181
N 0.9635 0.2416 0.7780
N 0.7854 0.0383 0.9905
Si 0.4799 0.9960 0.2499
N 0.4552 0.9398 0.8989
Y 0.9326 0.6708 0.5943
Si 0.2273 0.3225 0.1589

---

(8)
Crystalline LiHf2Os at its relaxed geometry. Source: the Materials Project, functional PBE.

Summary:
Final energy = -8.665 eV/atom

Cell: 4.6225 4.6225 4.6225 Å, 60.00 60.00 60.00°
Fractional positions:
Os 0.0000 0.0000 0.0000
Li 0.5000 0.5000 0.5000
Hf 0.7500 0.7500 0.7500
Hf 0.2500 0.2500 0.2500

---

- Look up the final energy of the third one.
  -6.337 eV/atom

---

- What is the final energy in the sixth record?
  -4.670 eV/atom